TaAsO4 | PBE | optimized geometry

energy of formation	-2532.4	meV per atom
largest piezoelectric modulus	1.2	C/m2
total magnetic moment	0.0	μB per cell

Geometry as CIF:
```
data_TaAsO4
_chemical_formula_sum 'Ta4 As4 O16'
_cell_length_a 3.940
_cell_length_b 14.616
_cell_length_c 5.678
_cell_angle_alpha 90.00
_cell_angle_beta 90.00
_cell_angle_gamma 90.00
_space_group_name_H-M_alt 'C m c 21'
_space_group_IT_number 36
loop_
_space_group_symop_operation_xyz
'x,y,z'
'-x,-y,z+1/2'
'-x,y,z'
'x,-y,z+1/2'
'x+1/2,y+1/2,z'
'-x+1/2,-y+1/2,z+1/2'
'-x+1/2,y+1/2,z'
'x+1/2,-y+1/2,z+1/2'
loop_
_atom_site_label
_atom_site_type_symbol
_atom_site_fract_x
_atom_site_fract_y
_atom_site_fract_z
_atom_site_occupancy
Ta1 Ta 0.000 0.091 0.000 1
As1 As 0.000 0.321 0.110 1
O1 O 0.000 0.017 0.277 1
O2 O 0.000 0.173 0.711 1
O3 O 0.000 0.204 0.198 1
O4 O 0.000 0.392 0.424 1
```


K2BaNb2S11 | PBE | optimized geometry

energy of formation	-1301.0	meV per atom
total magnetic moment	0.0	μB per cell

Geometry as CIF:
```
data_K2BaNb2S11
_chemical_formula_sum 'K16 Ba8 Nb16 S88'
_cell_length_a 14.860
_cell_length_b 12.919
_cell_length_c 17.779
_cell_angle_alpha 90.00
_cell_angle_beta 95.00
_cell_angle_gamma 90.00
_space_group_name_H-M_alt 'P 1 21/c 1'
_space_group_IT_number 14
loop_
_space_group_symop_operation_xyz
'x,y,z'
'-x,-y,-z'
'-x,y+1/2,-z+1/2'
'x,-y+1/2,z+1/2'
loop_
_atom_site_label
_atom_site_type_symbol
_atom_site_fract_x
_atom_site_fract_y
_atom_site_fract_z
_atom_site_occupancy
K1 K 0.109 0.123 0.067 1
K2 K 0.141 0.749 0.285 1
K3 K 0.148 0.053 0.410 1
K4 K 0.330 0.236 0.739 1
Ba1 Ba 0.349 0.570 0.428 1
Ba2 Ba 0.382 0.614 0.104 1
Nb1 Nb 0.100 0.047 0.835 1
Nb2 Nb 0.147 0.038 0.644 1
Nb3 Nb 0.381 0.614 0.860 1
Nb4 Nb 0.406 0.570 0.665 1
S1 S 0.018 0.558 0.231 1
S2 S 0.020 0.160 0.617 1
S3 S 0.060 0.204 0.904 1
S4 S 0.064 0.533 0.707 1
S5 S 0.072 0.575 0.045 1
S6 S 0.101 0.194 0.716 1
S7 S 0.117 0.574 0.426 1
S8 S 0.164 0.651 0.120 1
S9 S 0.197 0.189 0.888 1
S10 S 0.239 0.503 0.269 1
S11 S 0.257 0.578 0.595 1
S12 S 0.258 0.106 0.581 1
S13 S 0.276 0.680 0.932 1
S14 S 0.297 0.016 0.278 1
S15 S 0.327 0.060 0.079 1
S16 S 0.350 0.719 0.739 1
S17 S 0.368 0.076 0.375 1
S18 S 0.476 0.058 0.724 1
S19 S 0.492 0.107 0.538 1
S20 S 0.493 0.235 0.608 1
S21 S 0.494 0.649 0.584 1
S22 S 0.496 0.575 0.289 1
```